PrRe2O8 after structural relaxation, computed with meta-GGA r2SCAN.

a b c (Å): 6.430 6.432 5.218
angles (deg): 89.96 90.06 120.07
Fractional coordinates of all 11 atoms:
O  0.334  0.666  0.176
O  0.364  0.182  0.261
O  0.666  0.334  0.824
O  0.817  0.182  0.262
O  0.183  0.818  0.738
O  0.182  0.364  0.739
O  0.636  0.818  0.739
O  0.818  0.636  0.261
Re  0.666  0.333  0.156
Re  0.334  0.667  0.844
Pr  0.000  0.000  0.500

Calculated total energy   -0.68497 Ha/atom
Space group   No. 12

La7CoI12 after structural relaxation, computed with meta-GGA r2SCAN.

a b c (Å): 9.967 10.130 10.154
angles (deg): 107.42 107.07 107.06
Fractional coordinates of all 20 atoms:
I  0.178  0.574  0.728
I  0.732  0.184  0.576
I  0.108  0.334  0.031
I  0.574  0.730  0.183
I  0.643  0.976  0.888
I  0.423  0.275  0.819
I  0.271  0.816  0.422
I  0.339  0.030  0.112
I  0.823  0.424  0.277
I  0.892  0.646  0.974
I  0.025  0.106  0.331
I  0.978  0.891  0.647
La  0.608  0.808  0.534
La  0.209  0.472  0.404
La  0.791  0.533  0.601
La  0.397  0.192  0.473
La  0.475  0.398  0.192
La  0.533  0.608  0.809
La  0.979  0.978  0.978
Co  0.496  0.497  0.497

Calculated total energy   -1.00447 Ha/atom
Space group   No. 1

P2Se5 after structural relaxation, computed with meta-GGA r2SCAN.

a b c (Å): 5.971 7.082 21.141
angles (deg): 90.00 90.00 114.21
Fractional coordinates of all 28 atoms:
P  0.799  0.718  0.950
P  0.811  0.277  0.166
P  0.201  0.282  0.050
P  0.311  0.277  0.334
P  0.689  0.723  0.666
P  0.701  0.282  0.450
P  0.299  0.718  0.550
P  0.189  0.723  0.834
Se  0.321  0.276  0.441
Se  0.155  0.558  0.190
Se  0.838  0.000  0.895
Se  0.430  0.567  0.105
Se  0.570  0.433  0.895
Se  0.113  0.000  0.811
Se  0.070  0.433  0.605
Se  0.655  0.558  0.310
Se  0.821  0.276  0.059
Se  0.662  0.000  0.395
Se  0.613  0.000  0.689
Se  0.162  0.000  0.105
Se  0.179  0.724  0.941
Se  0.345  0.442  0.690
Se  0.930  0.567  0.395
Se  0.387  0.000  0.311
Se  0.845  0.442  0.810
Se  0.887  0.000  0.189
Se  0.338  0.000  0.605
Se  0.679  0.724  0.559

Calculated total energy   -0.47134 Ha/atom
Space group   No. 14

MnSO4 after structural relaxation, computed with meta-GGA r2SCAN.

a b c (Å): 4.816 4.816 6.765
angles (deg): 90.00 90.00 113.52
Fractional coordinates of all 12 atoms:
Mn  0.000  0.000  0.000
Mn  0.000  0.000  0.500
S  0.647  0.353  0.250
S  0.353  0.647  0.750
O  0.768  0.691  0.250
O  0.691  0.768  0.750
O  0.747  0.253  0.430
O  0.253  0.747  0.930
O  0.253  0.747  0.570
O  0.232  0.309  0.750
O  0.747  0.253  0.070
O  0.309  0.232  0.250

Calculated total energy   -0.35066 Ha/atom
Space group   No. 63

LiZn3 after structural relaxation, computed with meta-GGA r2SCAN.

a b c (Å): 4.258 4.258 4.258
angles (deg): 60.00 60.00 60.00
Fractional coordinates of all 4 atoms:
Zn  0.250  0.250  0.250
Zn  0.500  0.500  0.500
Zn  0.000  0.000  0.000
Li  0.750  0.750  0.750

Calculated total energy   -0.27357 Ha/atom
Space group   No. 225

Cs2Sn2O3 after structural relaxation, computed with meta-GGA r2SCAN.

a b c (Å): 6.130 8.988 13.940
angles (deg): 90.00 90.00 90.00
Fractional coordinates of all 28 atoms:
O  0.750  0.509  0.336
O  0.002  0.265  0.773
O  0.502  0.765  0.727
O  0.250  0.491  0.664
O  0.998  0.735  0.227
O  0.250  0.009  0.164
O  0.998  0.765  0.727
O  0.002  0.235  0.273
O  0.498  0.235  0.273
O  0.498  0.265  0.773
O  0.750  0.991  0.836
O  0.502  0.735  0.227
Sn  0.750  0.215  0.865
Sn  0.250  0.785  0.135
Sn  0.750  0.585  0.196
Sn  0.250  0.085  0.304
Sn  0.250  0.715  0.635
Sn  0.750  0.285  0.365
Sn  0.750  0.915  0.696
Sn  0.250  0.415  0.804
Cs  0.750  0.035  0.132
Cs  0.250  0.535  0.368
Cs  0.250  0.164  0.596
Cs  0.750  0.465  0.632
Cs  0.750  0.836  0.404
Cs  0.250  0.336  0.096
Cs  0.750  0.664  0.904
Cs  0.250  0.965  0.868

Calculated total energy   -0.67550 Ha/atom
Space group   No. 62

NdCd2Pd after structural relaxation, computed with meta-GGA r2SCAN.

a b c (Å): 5.478 5.478 8.388
angles (deg): 90.00 90.00 134.11
Fractional coordinates of all 8 atoms:
Nd  0.935  0.065  0.250
Nd  0.065  0.935  0.750
Cd  0.356  0.644  0.951
Cd  0.644  0.356  0.049
Cd  0.644  0.356  0.451
Cd  0.356  0.644  0.549
Pd  0.223  0.777  0.250
Pd  0.777  0.223  0.750

Calculated total energy   -0.87264 Ha/atom
Space group   No. 63

Sc11Ge10 after structural relaxation, computed with meta-GGA r2SCAN.

a b c (Å): 10.568 10.568 10.568
angles (deg): 121.73 121.73 87.02
Fractional coordinates of all 42 atoms:
Ge  0.000  0.356  0.356
Ge  0.356  0.000  0.356
Ge  0.375  0.625  0.000
Ge  0.528  0.528  0.414
Ge  0.115  0.115  0.000
Ge  0.472  0.886  0.000
Ge  0.625  0.375  0.000
Ge  0.885  0.885  0.000
Ge  0.886  0.886  0.414
Ge  0.886  0.472  0.000
Ge  0.644  0.000  0.644
Ge  0.114  0.528  0.000
Ge  0.472  0.472  0.586
Ge  0.114  0.114  0.586
Ge  0.528  0.114  0.000
Ge  0.250  0.750  0.500
Ge  0.750  0.250  0.500
Ge  0.000  0.644  0.644
Ge  0.375  0.375  0.751
Ge  0.625  0.625  0.249
Sc  0.602  0.930  0.328
Sc  0.398  0.070  0.672
Sc  0.176  0.176  0.352
Sc  0.274  0.602  0.672
Sc  0.930  0.602  0.328
Sc  0.189  0.441  0.252
Sc  0.938  0.189  0.748
Sc  0.441  0.189  0.252
Sc  0.602  0.274  0.672
Sc  0.070  0.398  0.672
Sc  0.062  0.811  0.252
Sc  0.726  0.398  0.328
Sc  0.811  0.559  0.748
Sc  0.824  0.824  0.648
Sc  0.338  0.338  0.000
Sc  0.398  0.726  0.328
Sc  0.559  0.811  0.748
Sc  0.189  0.938  0.748
Sc  0.176  0.824  0.000
Sc  0.811  0.062  0.252
Sc  0.824  0.176  0.000
Sc  0.662  0.662  0.000

Calculated total energy   -0.49465 Ha/atom
Space group   No. 139

SiC after structural relaxation, computed with meta-GGA r2SCAN.

a b c (Å): 3.076 3.076 40.268
angles (deg): 90.00 90.00 120.00
Fractional coordinates of all 32 atoms:
C  0.333  0.667  0.047
C  0.000  0.000  0.922
C  0.333  0.667  0.234
C  0.667  0.333  0.984
C  0.333  0.667  0.484
C  0.333  0.667  0.609
C  0.000  0.000  0.422
C  0.000  0.000  0.297
C  0.000  0.000  0.672
C  0.667  0.333  0.734
C  0.667  0.333  0.109
C  0.333  0.667  0.860
C  0.667  0.333  0.360
C  0.667  0.333  0.547
C  0.000  0.000  0.172
C  0.000  0.000  0.797
Si  0.000  0.000  0.125
Si  0.333  0.667  0.562
Si  0.667  0.333  0.062
Si  0.333  0.667  0.000
Si  0.667  0.333  0.687
Si  0.667  0.333  0.500
Si  0.667  0.333  0.313
Si  0.333  0.667  0.187
Si  0.333  0.667  0.437
Si  0.333  0.667  0.813
Si  0.000  0.000  0.250
Si  0.000  0.000  0.875
Si  0.667  0.333  0.937
Si  0.000  0.000  0.750
Si  0.000  0.000  0.625
Si  0.000  0.000  0.375

Calculated total energy   -0.35523 Ha/atom
Space group   No. 186
Polymorph energy (0 for the lowest one)   0 meV per atom

GaP after structural relaxation, computed with meta-GGA r2SCAN.

a b c (Å): 3.842 3.842 6.333
angles (deg): 90.00 90.00 120.00
Fractional coordinates of all 4 atoms:
P  0.667  0.333  0.874
P  0.333  0.667  0.374
Ga  0.667  0.333  0.500
Ga  0.333  0.667  0.000

Calculated total energy   -0.39406 Ha/atom
Space group   No. 186
Polymorph energy (0 for the lowest one)   8 meV per atom

NaPrHg2 after structural relaxation, computed with meta-GGA r2SCAN.

a b c (Å): 5.269 5.269 5.269
angles (deg): 60.00 60.00 60.00
Fractional coordinates of all 4 atoms:
Hg  0.000  0.000  0.000
Hg  0.500  0.500  0.500
Na  0.250  0.250  0.250
Pr  0.750  0.750  0.750

Calculated total energy   -1.22627 Ha/atom
Space group   No. 225

Ce2Si2Sn after structural relaxation, computed with meta-GGA r2SCAN.

a b c (Å): 7.390 7.390 4.427
angles (deg): 90.00 90.00 89.95
Fractional coordinates of all 10 atoms:
Ce  0.819  0.681  0.500
Ce  0.682  0.180  0.500
Ce  0.180  0.319  0.500
Ce  0.320  0.818  0.500
Si  0.113  0.612  0.000
Si  0.613  0.887  0.000
Si  0.386  0.114  0.000
Si  0.888  0.387  0.000
Sn  0.001  0.002  0.000
Sn  0.498  0.499  0.000

Calculated total energy   -0.78950 Ha/atom
Space group   No. 38

UBN after structural relaxation, computed with meta-GGA r2SCAN.

a b c (Å): 6.201 6.201 3.291
angles (deg): 90.00 90.00 145.93
Fractional coordinates of all 6 atoms:
B  0.534  0.466  0.750
B  0.466  0.534  0.250
U  0.137  0.863  0.250
U  0.863  0.137  0.750
N  0.338  0.662  0.250
N  0.662  0.338  0.750

Calculated total energy   -1.22703 Ha/atom
Space group   No. 63

GdAgGe after structural relaxation, computed with meta-GGA r2SCAN.

a b c (Å): 7.183 7.183 4.245
angles (deg): 90.00 90.00 120.00
Fractional coordinates of all 9 atoms:
Ge  0.333  0.667  0.500
Ge  0.000  0.000  0.000
Ge  0.667  0.333  0.500
Gd  0.000  0.416  0.000
Gd  0.416  0.000  0.000
Gd  0.584  0.584  0.000
Ag  0.751  0.000  0.500
Ag  0.249  0.249  0.500
Ag  0.000  0.751  0.500

Calculated total energy   -0.98788 Ha/atom
Space group   No. 189

Mg4SiSn after structural relaxation, computed with meta-GGA r2SCAN.

a b c (Å): 5.692 5.692 5.692
angles (deg): 60.00 60.00 60.00
Fractional coordinates of all 6 atoms:
Sn  0.500  0.500  0.500
Mg  0.125  0.125  0.626
Mg  0.626  0.125  0.125
Mg  0.125  0.125  0.125
Mg  0.125  0.626  0.125
Si  0.750  0.750  0.750

Calculated total energy   -0.29650 Ha/atom
Space group   No. 216

LaOF after structural relaxation, computed with meta-GGA r2SCAN.

a b c (Å): 7.119 7.119 7.119
angles (deg): 32.99 32.99 32.99
Fractional coordinates of all 6 atoms:
O  0.377  0.377  0.377
O  0.623  0.623  0.623
La  0.258  0.258  0.258
La  0.742  0.742  0.742
F  0.871  0.871  0.871
F  0.129  0.129  0.129

Calculated total energy   -0.62964 Ha/atom
Space group   No. 166

UCoAs2 after structural relaxation, computed with meta-GGA r2SCAN.

a b c (Å): 4.013 4.013 8.968
angles (deg): 90.00 90.00 90.00
Fractional coordinates of all 8 atoms:
U  0.000  0.500  0.747
U  0.500  0.000  0.253
Co  0.000  0.000  0.500
Co  0.500  0.500  0.500
As  0.500  0.500  0.000
As  0.000  0.000  0.000
As  0.500  0.000  0.643
As  0.000  0.500  0.357

Calculated total energy   -1.15150 Ha/atom
Space group   No. 129

CoGe after structural relaxation, computed with meta-GGA r2SCAN.

a b c (Å): 3.710 4.872 6.102
angles (deg): 99.04 107.70 90.00
Fractional coordinates of all 8 atoms:
Co  0.000  0.500  0.000
Co  0.000  0.000  0.000
Co  0.196  0.325  0.391
Co  0.804  0.675  0.609
Ge  0.184  0.818  0.367
Ge  0.570  0.282  0.140
Ge  0.430  0.718  0.860
Ge  0.816  0.182  0.633

Calculated total energy   -0.50073 Ha/atom
Space group   No. 12

TmZr3 after structural relaxation, computed with meta-GGA r2SCAN.

a b c (Å): 6.641 6.641 5.184
angles (deg): 90.00 90.00 120.00
Fractional coordinates of all 8 atoms:
Zr  0.837  0.163  0.750
Zr  0.674  0.837  0.250
Zr  0.163  0.837  0.250
Zr  0.837  0.674  0.750
Zr  0.326  0.163  0.750
Zr  0.163  0.326  0.250
Tm  0.333  0.667  0.750
Tm  0.667  0.333  0.250

Calculated total energy   -0.94911 Ha/atom
Space group   No. 194

CaF2 after structural relaxation, computed with meta-GGA r2SCAN.

a b c (Å): 3.900 3.900 3.900
angles (deg): 60.00 60.00 60.00
Fractional coordinates of all 3 atoms:
Ca  0.000  0.000  0.000
F  0.250  0.250  0.250
F  0.750  0.750  0.750

Calculated total energy   -0.31797 Ha/atom
Space group   No. 225
Polymorph energy (0 for the lowest one)   0 meV per atom

no.,calculated formation energy (eV per atom)
1,-2.09
2,-1.53
3,-0.03
4,-1.77
5,-0.16
6,-1.58
7,-0.60
8,-0.88
9,-0.31
10,-0.50
11,-0.44
12,-0.69
13,-1.25
14,-0.67
15,0.30
16,-4.19
17,-0.69
18,-0.07
19,0.02
20,-4.22